An optimized crystal structure of Na6ZnS4. Source: the Materials Project, functional PBE.

Computed properties:
energy: -74.38 eV per cell
largest piezoelectric modulus: 0.46 C/m2
ΔE_f: -1.224 eV/atom

a = 8.981 Å, b = 8.981 Å, c = 6.942 Å
α = 90.00°, β = 90.00°, γ = 120.00°
Fractional positions:
Na1 0.148 0.852 0.538
Na2 0.296 0.148 0.038
Na3 0.852 0.704 0.038
Na4 0.148 0.296 0.538
Na5 0.704 0.852 0.538
Na6 0.852 0.148 0.038
Na7 0.531 0.469 0.366
Na8 0.063 0.531 0.866
Na9 0.469 0.937 0.866
Na10 0.531 0.063 0.366
Na11 0.937 0.469 0.366
Na12 0.469 0.531 0.866
Zn1 0.667 0.333 0.749
Zn2 0.333 0.667 0.249
S1 0.812 0.188 0.642
S2 0.624 0.812 0.142
S3 0.333 0.667 0.593
S4 0.667 0.333 0.093
S5 0.188 0.812 0.142
S6 0.376 0.188 0.642
S7 0.812 0.624 0.642
S8 0.188 0.376 0.142

---

An optimized crystal structure of Na2Zn2S3. Source: the Materials Project, functional PBE.

Computed properties:
energy: -96.53 eV per cell
ΔE_f: -1.152 eV/atom
E above lowest polymorph: 0.000 eV per formula unit

a = 9.909 Å, b = 9.909 Å, c = 6.735 Å
α = 70.40°, β = 70.40°, γ = 82.87°
Fractional positions:
Na1 0.815 0.988 0.620
Na2 0.012 0.185 0.880
Na3 0.185 0.012 0.380
Na4 0.988 0.815 0.120
Na5 0.719 0.281 0.750
Na6 0.281 0.719 0.250
Na7 0.429 0.571 0.750
Na8 0.571 0.429 0.250
Zn1 0.364 0.214 0.797
Zn2 0.786 0.636 0.703
Zn3 0.636 0.786 0.203
Zn4 0.214 0.364 0.297
Zn5 0.081 0.551 0.758
Zn6 0.449 0.919 0.742
Zn7 0.919 0.449 0.242
Zn8 0.551 0.081 0.258
S1 0.276 0.427 0.568
S2 0.573 0.724 0.932
S3 0.724 0.573 0.432
S4 0.427 0.276 0.068
S5 0.579 0.145 0.554
S6 0.855 0.421 0.946
S7 0.421 0.855 0.446
S8 0.145 0.579 0.054
S9 0.000 0.768 0.553
S10 0.232 0.000 0.947
S11 0.000 0.232 0.447
S12 0.768 0.000 0.053

---

An optimized crystal structure of Na2Zn2S3. Source: the Materials Project, functional PBE.

Computed properties:
energy: -95.38 eV per cell
ΔE_f: -1.112 eV/atom
E above lowest polymorph: 0.286 eV per formula unit

a = 7.457 Å, b = 7.457 Å, c = 11.273 Å
α = 90.00°, β = 90.00°, γ = 90.00°
Fractional positions:
Na1 0.965 0.245 0.397
Na2 0.035 0.755 0.897
Na3 0.745 0.535 0.647
Na4 0.255 0.465 0.147
Na5 0.755 0.035 0.103
Na6 0.245 0.965 0.603
Na7 0.535 0.745 0.353
Na8 0.465 0.255 0.853
Zn1 0.237 0.952 0.135
Zn2 0.763 0.048 0.635
Zn3 0.452 0.263 0.385
Zn4 0.548 0.737 0.885
Zn5 0.048 0.763 0.365
Zn6 0.952 0.237 0.865
Zn7 0.263 0.452 0.615
Zn8 0.737 0.548 0.115
S1 0.518 0.240 0.589
S2 0.482 0.760 0.089
S3 0.740 0.982 0.839
S4 0.260 0.018 0.339
S5 0.760 0.482 0.911
S6 0.240 0.518 0.411
S7 0.982 0.740 0.161
S8 0.018 0.260 0.661
S9 0.679 0.321 0.250
S10 0.321 0.679 0.750
S11 0.821 0.821 0.500
S12 0.179 0.179 0.000

---

An optimized crystal structure of Na2ZrS3. Source: the Materials Project, functional PBE.

Computed properties:
energy: -64.49 eV per cell
ΔE_f: -1.692 eV/atom

a = 6.709 Å, b = 6.709 Å, c = 6.988 Å
α = 80.70°, β = 80.70°, γ = 120.04°
Fractional positions:
Na1 0.659 0.341 0.500
Na2 0.341 0.659 0.500
Na3 0.500 0.500 0.000
Na4 0.000 0.000 0.500
Zr1 0.832 0.168 0.000
Zr2 0.168 0.832 0.000
S1 0.786 0.786 0.222
S2 0.214 0.214 0.778
S3 0.426 0.064 0.222
S4 0.574 0.936 0.778
S5 0.936 0.574 0.778
S6 0.064 0.426 0.222

---

An optimized crystal structure of NaSbSe2. Source: the Materials Project, functional PBE.

Computed properties:
energy: -14.64 eV per cell
ΔE_f: -0.784 eV/atom

a = 4.181 Å, b = 4.181 Å, c = 5.715 Å
α = 90.00°, β = 90.00°, γ = 90.00°
Fractional positions:
Na1 0.000 0.000 0.000
Sb1 0.500 0.500 0.500
Se1 0.000 0.000 0.500
Se2 0.500 0.500 0.000

---

An optimized crystal structure of NaSbSe2. Source: the Materials Project, functional PBE.

Computed properties:
energy: -14.96 eV per cell
ΔE_f: -0.865 eV/atom

a = 7.481 Å, b = 7.481 Å, c = 7.481 Å
α = 32.24°, β = 32.24°, γ = 32.24°
Fractional positions:
Na1 0.000 0.000 0.000
Sb1 0.500 0.500 0.500
Se1 0.245 0.245 0.245
Se2 0.755 0.755 0.755

---

An optimized crystal structure of Na5SnSb3. Source: the Materials Project, functional PBE.

Computed properties:
energy: -210.12 eV per cell
ΔE_f: -0.426 eV/atom

a = 9.290 Å, b = 12.576 Å, c = 18.714 Å
α = 81.80°, β = 90.00°, γ = 90.00°
Fractional positions:
Na1 0.929 0.864 0.994
Na2 0.429 0.636 0.006
Na3 0.071 0.136 0.006
Na4 0.571 0.364 0.994
Na5 0.931 0.512 0.652
Na6 0.431 0.988 0.348
Na7 0.069 0.488 0.348
Na8 0.569 0.012 0.652
Na9 0.175 0.056 0.700
Na10 0.675 0.444 0.300
Na11 0.825 0.944 0.300
Na12 0.325 0.556 0.700
Na13 0.929 0.174 0.819
Na14 0.429 0.326 0.181
Na15 0.071 0.826 0.181
Na16 0.571 0.674 0.819
Na17 0.938 0.873 0.485
Na18 0.438 0.627 0.515
Na19 0.062 0.127 0.515
Na20 0.562 0.373 0.485
Na21 0.183 0.723 0.872
Na22 0.683 0.777 0.128
Na23 0.817 0.277 0.128
Na24 0.317 0.223 0.872
Na25 0.847 0.902 0.805
Na26 0.347 0.598 0.195
Na27 0.153 0.098 0.195
Na28 0.653 0.402 0.805
Na29 0.840 0.582 0.973
Na30 0.340 0.918 0.027
Na31 0.160 0.418 0.027
Na32 0.660 0.082 0.973
Na33 0.819 0.595 0.467
Na34 0.319 0.905 0.533
Na35 0.181 0.405 0.533
Na36 0.681 0.095 0.467
Na37 0.812 0.244 0.628
Na38 0.312 0.256 0.372
Na39 0.188 0.756 0.372
Na40 0.688 0.744 0.628
Sn1 0.069 0.779 0.669
Sn2 0.569 0.721 0.331
Sn3 0.931 0.221 0.331
Sn4 0.431 0.279 0.669
Sn5 0.417 0.946 0.827
Sn6 0.917 0.554 0.173
Sn7 0.583 0.054 0.173
Sn8 0.083 0.446 0.827
Sb1 0.371 0.818 0.707
Sb2 0.871 0.682 0.293
Sb3 0.629 0.182 0.293
Sb4 0.129 0.318 0.707
Sb5 0.891 0.966 0.634
Sb6 0.391 0.534 0.366
Sb7 0.109 0.034 0.366
Sb8 0.609 0.466 0.634
Sb9 0.139 0.986 0.882
Sb10 0.639 0.514 0.118
Sb11 0.861 0.014 0.118
Sb12 0.361 0.486 0.882
Sb13 0.917 0.644 0.785
Sb14 0.417 0.856 0.215
Sb15 0.083 0.356 0.215
Sb16 0.583 0.144 0.785
Sb17 0.607 0.837 0.934
Sb18 0.107 0.663 0.066
Sb19 0.393 0.163 0.066
Sb20 0.893 0.337 0.934
Sb21 0.119 0.670 0.546
Sb22 0.619 0.830 0.454
Sb23 0.881 0.330 0.454
Sb24 0.381 0.170 0.546

---

An optimized crystal structure of Na8SnSb4. Source: the Materials Project, functional PBE.

Computed properties:
energy: -72.29 eV per cell
ΔE_f: -0.447 eV/atom

a = 10.559 Å, b = 10.559 Å, c = 10.559 Å
α = 60.00°, β = 60.00°, γ = 60.00°
Fractional positions:
Na1 0.625 0.125 0.625
Na2 0.625 0.625 0.125
Na3 0.125 0.625 0.625
Na4 0.625 0.625 0.625
Na5 0.020 0.020 0.480
Na6 0.770 0.230 0.230
Na7 0.230 0.770 0.770
Na8 0.770 0.770 0.230
Na9 0.770 0.230 0.770
Na10 0.230 0.770 0.230
Na11 0.480 0.020 0.480
Na12 0.480 0.020 0.020
Na13 0.020 0.480 0.480
Na14 0.020 0.480 0.020
Na15 0.230 0.230 0.770
Na16 0.480 0.480 0.020
Sn1 0.500 0.500 0.500
Sn2 0.750 0.750 0.750
Sb1 0.415 0.862 0.862
Sb2 0.862 0.862 0.862
Sb3 0.835 0.388 0.388
Sb4 0.388 0.388 0.388
Sb5 0.388 0.388 0.835
Sb6 0.862 0.415 0.862
Sb7 0.862 0.862 0.415
Sb8 0.388 0.835 0.388

---

An optimized crystal structure of NaSbTe2. Source: the Materials Project, functional PBE.

Computed properties:
energy: -13.51 eV per cell
ΔE_f: -0.655 eV/atom

a = 8.006 Å, b = 8.006 Å, c = 8.006 Å
α = 32.22°, β = 32.22°, γ = 32.22°
Fractional positions:
Na1 0.000 0.000 0.000
Sb1 0.500 0.500 0.500
Te1 0.244 0.244 0.244
Te2 0.756 0.756 0.756

---

An optimized crystal structure of NaSbTe2. Source: the Materials Project, functional PBE.

Computed properties:
energy: -13.21 eV per cell
ΔE_f: -0.580 eV/atom

a = 4.452 Å, b = 4.452 Å, c = 6.194 Å
α = 90.00°, β = 90.00°, γ = 90.00°
Fractional positions:
Na1 0.000 0.000 0.000
Sb1 0.500 0.500 0.500
Te1 0.000 0.000 0.500
Te2 0.500 0.500 0.000

---

An optimized crystal structure of NaTl2Sb. Source: the Materials Project, functional PBE.

Computed properties:
energy: -10.76 eV per cell
ΔE_f: -0.194 eV/atom

a = 5.541 Å, b = 5.541 Å, c = 5.541 Å
α = 60.00°, β = 60.00°, γ = 60.00°
Fractional positions:
Na1 0.500 0.500 0.500
Tl1 0.250 0.250 0.250
Tl2 0.750 0.750 0.750
Sb1 0.000 0.000 0.000

---

An optimized crystal structure of NaScSn. Source: the Materials Project, functional PBE.

Computed properties:
energy: -11.57 eV per cell
ΔE_f: 0.032 eV/atom

a = 4.955 Å, b = 4.955 Å, c = 4.955 Å
α = 60.00°, β = 60.00°, γ = 60.00°
Fractional positions:
Na1 0.500 0.500 0.500
Sc1 0.250 0.250 0.250
Sn1 0.000 0.000 0.000

---

An optimized crystal structure of Na2Si2Se5. Source: the Materials Project, functional PBE.

Computed properties:
energy: -150.25 eV per cell
ΔE_f: -0.994 eV/atom

a = 9.555 Å, b = 9.555 Å, c = 11.113 Å
α = 90.00°, β = 90.00°, γ = 90.63°
Fractional positions:
Na1 0.576 0.081 0.750
Na2 0.424 0.919 0.250
Na3 0.919 0.424 0.750
Na4 0.081 0.576 0.250
Na5 0.148 0.148 0.500
Na6 0.852 0.852 0.000
Na7 0.852 0.852 0.500
Na8 0.148 0.148 0.000
Si1 0.584 0.688 0.750
Si2 0.416 0.312 0.250
Si3 0.312 0.416 0.750
Si4 0.688 0.584 0.250
Si5 0.254 0.746 0.916
Si6 0.746 0.254 0.416
Si7 0.254 0.746 0.584
Si8 0.746 0.254 0.084
Se1 0.731 0.813 0.250
Se2 0.269 0.187 0.750
Se3 0.187 0.269 0.250
Se4 0.813 0.731 0.750
Se5 0.159 0.841 0.080
Se6 0.841 0.159 0.580
Se7 0.159 0.841 0.420
Se8 0.841 0.159 0.920
Se9 0.152 0.848 0.750
Se10 0.848 0.152 0.250
Se11 0.508 0.206 0.079
Se12 0.492 0.794 0.579
Se13 0.794 0.492 0.421
Se14 0.206 0.508 0.921
Se15 0.492 0.794 0.921
Se16 0.508 0.206 0.421
Se17 0.206 0.508 0.579
Se18 0.794 0.492 0.079
Se19 0.550 0.450 0.750
Se20 0.450 0.550 0.250

---

An optimized crystal structure of Na4SiSe4. Source: the Materials Project, functional PBE.

Computed properties:
energy: -133.29 eV per cell
ΔE_f: -1.168 eV/atom

a = 7.216 Å, b = 9.313 Å, c = 14.446 Å
α = 90.00°, β = 90.00°, γ = 90.00°
Fractional positions:
Na1 0.000 0.000 0.000
Na2 0.500 0.000 0.500
Na3 0.000 0.500 0.000
Na4 0.500 0.500 0.500
Na5 0.997 0.750 0.454
Na6 0.497 0.250 0.046
Na7 0.003 0.250 0.546
Na8 0.503 0.750 0.954
Na9 0.860 0.052 0.267
Na10 0.360 0.948 0.233
Na11 0.140 0.552 0.733
Na12 0.640 0.448 0.767
Na13 0.140 0.948 0.733
Na14 0.640 0.052 0.767
Na15 0.860 0.448 0.267
Na16 0.360 0.552 0.233
Si1 0.780 0.750 0.165
Si2 0.280 0.250 0.335
Si3 0.220 0.250 0.835
Si4 0.720 0.750 0.665
Se1 0.657 0.549 0.096
Se2 0.157 0.451 0.404
Se3 0.343 0.049 0.904
Se4 0.843 0.951 0.596
Se5 0.343 0.451 0.904
Se6 0.843 0.549 0.596
Se7 0.657 0.951 0.096
Se8 0.157 0.049 0.404
Se9 0.685 0.750 0.317
Se10 0.185 0.250 0.183
Se11 0.315 0.250 0.683
Se12 0.815 0.750 0.817
Se13 0.094 0.750 0.139
Se14 0.594 0.250 0.361
Se15 0.906 0.250 0.861
Se16 0.406 0.750 0.639

---

An optimized crystal structure of NaSmSe2. Source: the Materials Project, functional PBE.

Computed properties:
energy: -19.79 eV per cell
ΔE_f: -1.925 eV/atom

a = 4.234 Å, b = 4.234 Å, c = 7.394 Å
α = 73.36°, β = 73.36°, γ = 60.00°
Fractional positions:
Na1 0.000 0.000 0.000
Sm1 0.500 0.500 0.500
Se1 0.755 0.755 0.735
Se2 0.245 0.245 0.265